VASP calculation (PBE) on a relaxed Sm4MgNi crystal.

Computed properties:
- volume (Å³/cell) = 2685
- total energy (eV per cell) = -436.71
- ΔE_f (eV/atom) = -0.1733

Cell: 13.899 13.899 13.899 Å, 90.00 90.00 90.00°
Space group F-43m (No. 216)
Asymmetric unit:
1 Sm 0.000 0.000 0.186
2 Sm 0.062 0.250 0.750
3 Sm 0.097 0.097 0.403
4 Mg 0.170 0.170 0.170
5 Ni 0.108 0.108 0.608